Crystalline Na3CoSiBO7 at its relaxed geometry. Source: the Materials Project, functional PBE+U.

Cell lengths 8.4412, 8.4357, 8.9680 Å; angles 88.70, 88.81, 103.25 degrees
Sites, in units of the cell vectors:
O1 0.7243 0.9747 0.9174
O2 0.3336 0.0841 0.4768
O3 0.0659 0.8162 0.5775
Na1 0.9921 0.2387 0.9135
O4 0.0866 0.1392 0.6795
Na2 0.4944 0.7484 0.9167
O5 0.1744 0.4235 0.5248
Co1 0.2681 0.5192 0.3365
O6 0.6437 0.8926 0.1732
Na3 0.3753 0.8808 0.2612
O7 0.4316 0.6822 0.4239
Na4 0.0079 0.7613 0.0865
Na5 0.8721 0.8772 0.7408
O8 0.3856 0.8342 0.6831
O9 0.9341 0.1838 0.4225
Si1 0.5113 0.7616 0.5770
Na6 0.3688 0.3757 0.7366
B1 0.7612 0.5107 0.9306
O10 0.9134 0.8608 0.3205
Co2 0.7319 0.4808 0.6635
O11 0.1380 0.8885 0.8693
Si2 0.9816 0.7306 0.4282
Si3 0.0184 0.2694 0.5718
Na7 0.5056 0.2516 0.0833
Na8 0.6247 0.1192 0.7388
B2 0.2565 0.0067 0.9345
O12 0.8889 0.3328 0.6819
O13 0.8593 0.6084 0.8207
Na9 0.1279 0.1228 0.2592
O14 0.3560 0.6076 0.1378
O15 0.6664 0.9159 0.5232
O16 0.1111 0.6672 0.3181
O17 0.8256 0.5765 0.4752
Na10 0.1286 0.6222 0.7387
O18 0.2236 0.4727 0.9222
B3 0.2388 0.4893 0.0694
B4 0.7435 0.9933 0.0655
O19 0.4192 0.3642 0.3142
Co3 0.7681 0.0138 0.3449
O20 0.1407 0.3916 0.1793
O21 0.3563 0.1074 0.8268
O22 0.6440 0.3924 0.8622
Co4 0.2318 0.9861 0.6551
Na11 0.8714 0.3778 0.2613
O23 0.2757 0.0253 0.0826
Na12 0.6312 0.6243 0.2634
O24 0.8620 0.1115 0.1307
O25 0.6144 0.1658 0.3169
Si4 0.4887 0.2384 0.4229
O26 0.7764 0.5273 0.0778
O27 0.5808 0.6358 0.6858
O28 0.5684 0.3178 0.5761

Space-group type = P-1 (2)
Total energy after the MP2020 corrections = -6.68 eV per atom
Total DFT energy (no corrections) = -321.6 eV for the cell shown
ΔE_f = -2.234 eV per atom
Excess energy over the best structure of this formula in the dataset = 0.029 eV per atom